## one
VASP calculation (PBE-GGA) on a geometry-optimized Ce4Ge7 structure.

## Properties
- Symmetry: No. 20

Unit cell a=7.7023 b=7.7023 c=11.9041 alpha=90.00 beta=90.00 gamma=134.53
With the nearest neighbours (Å) after each atom.
Element x y z (fractional)
1 Ge 0.9265 0.5795 0.6277  3 Ge 2.59-2.62
2 Ce 0.0092 0.0092 0.0000  10 Ge 3.04-3.27
3 Ge 0.9388 0.0612 0.2500  2 Ge 2.61
4 Ce 0.4942 0.5058 0.2500  10 Ge 3.08-3.31
5 Ce 0.0061 0.5157 0.8805  9 Ge 3.07-3.36
6 Ce 0.4843 0.9939 0.6195  9 Ge 3.07-3.36
7 Ge 0.0315 0.3250 0.6609  2 Ge 2.62-2.69
8 Ge 0.9685 0.6750 0.1609  2 Ge 2.62-2.69
9 Ge 0.5726 0.3960 0.4900  3 Ge 2.52-2.69
10 Ce 0.9908 0.9908 0.5000  10 Ge 3.04-3.27
11 Ge 0.6040 0.4274 0.0100  3 Ge 2.52-2.69
12 Ge 0.3250 0.0315 0.3391  2 Ge 2.62-2.69
13 Ge 0.0612 0.9388 0.7500  2 Ge 2.61
14 Ge 0.4205 0.0735 0.8723  3 Ge 2.59-2.62
15 Ce 0.5157 0.0061 0.1195  9 Ge 3.07-3.36
16 Ge 0.6750 0.9685 0.8391  2 Ge 2.62-2.69
17 Ge 0.5795 0.9265 0.3723  3 Ge 2.59-2.62
18 Ge 0.0735 0.4205 0.1277  3 Ge 2.59-2.62
19 Ge 0.4274 0.6040 0.9900  3 Ge 2.52-2.69
20 Ce 0.5058 0.4942 0.7500  10 Ge 3.08-3.31
21 Ce 0.9939 0.4843 0.3805  9 Ge 3.07-3.36
22 Ge 0.3960 0.5726 0.5100  3 Ge 2.52-2.69

=====

## two
VASP calculation (PBE-GGA) on a geometry-optimized Ce4Ge7 structure.

## Properties
- Total magnetic moment: 2.4 μB/f.u.
- Symmetry: No. 25

Unit cell a=4.0909 b=4.2037 c=15.0358 alpha=90.00 beta=90.00 gamma=90.00
With the nearest neighbours (Å) after each atom.
Element x y z (fractional)
1 Ge 0.2500 0.5000 0.7054  3 Ge 2.48-2.54
2 Ge 0.2500 0.5000 0.5366  3 Ge 2.54-2.57
3 Ge 0.2500 0.0000 0.7933  3 Ge 2.48-2.53
4 Ce 0.7500 0.0000 0.6229  12 Ge 3.18-3.55
5 Ge 0.7500 0.0000 0.0576  3 Ge 2.50
6 Ce 0.7500 0.5000 0.8775  12 Ge 3.19-3.43
7 Ce 0.2500 0.5000 0.1257  10 Ge 3.11-3.28
8 Ge 0.7500 0.5000 0.4331  2 Ge 2.57
9 Ge 0.2500 0.0000 0.9616  3 Ge 2.50-2.53
10 Ge 0.7500 0.0000 0.2237  1 Ge 2.50
11 Ce 0.2500 0.0000 0.3767  8 Ge 3.05-3.19

=====

Relative energies, in meV per atom, with the most stable structure set to zero: one 0; two 78.

=====

## one
VASP calculation (PBE-GGA) on a geometry-optimized Ce2NiGe3 structure.

## Properties
- Symmetry: No. 38

Unit cell a=4.1702 b=8.3121 c=8.3121 alpha=120.31 beta=90.00 gamma=90.00
With the nearest neighbours (Å) after each atom.
Element x y z (fractional)
1 Ni 0.0000 0.3336 0.6664  3 Ge 2.30-2.32
2 Ce 0.5000 0.0000 0.5017  8 Ge 3.13-3.16, 4 Ni 3.17-3.18
3 Ge 0.0000 0.6542 0.8260  1 Ni 2.30, 2 Ge 2.48-2.49
4 Ce 0.5000 0.0000 0.0000  12 Ge 3.24-3.25
5 Ge 0.0000 0.1733 0.8277  1 Ni 2.32, 2 Ge 2.48-2.49
6 Ce 0.5000 0.4983 0.4983  8 Ge 3.13-3.14, 4 Ni 3.18
7 Ge 0.0000 0.1729 0.3458  1 Ni 2.30, 2 Ge 2.48-2.49
8 Ge 0.0000 0.8260 0.6542  1 Ni 2.30, 2 Ge 2.48-2.49
9 Ni 0.0000 0.6664 0.3336  3 Ge 2.30-2.32
10 Ge 0.0000 0.3458 0.1729  1 Ni 2.30, 2 Ge 2.48-2.49
11 Ce 0.5000 0.5017 0.0000  8 Ge 3.13-3.16, 4 Ni 3.17-3.18
12 Ge 0.0000 0.8277 0.1733  1 Ni 2.32, 2 Ge 2.48-2.49

=====

## two
VASP calculation (PBE-GGA) on a geometry-optimized Ce2NiGe3 structure.

## Properties
- Total magnetic moment: 0.0 μB/f.u.
- Symmetry: No. 187

Unit cell a=4.2404 b=4.2404 c=7.9257 alpha=90.00 beta=90.00 gamma=120.00
With the nearest neighbours (Å) after each atom.
Element x y z (fractional)
1 Ce 0.6667 0.3333 0.7645  9 Ge 3.08-3.22, 3 Ni 3.08
2 Ge 0.3333 0.6667 0.5000  3 Ge 2.45
3 Ni 0.0000 0.0000 0.0000  3 Ge 2.45
4 Ce 0.6667 0.3333 0.2355  9 Ge 3.08-3.22, 3 Ni 3.08
5 Ge 0.0000 0.0000 0.5000  3 Ge 2.45
6 Ge 0.3333 0.6667 0.0000  3 Ni 2.45

=====

Relative energies, in meV per atom, with the most stable structure set to zero: one 0; two 46.